Entry from the Materials Project database: a relaxed structure of Sc9Ni5Ge8 (PBE).

Lattice parameters (Å, degrees): 11.5993 11.5993 11.5993 160.53 133.95 50.44
Closest atoms and distances in Å follow each position.
Sites, in units of the cell vectors:
Ge1 0.6873 0.5000 0.1873  2 Ni 2.60, 7 Sc 2.84-2.85
Ge2 0.5528 0.1906 0.3622  3 Ni 2.32-2.53, 1 Ge 2.50
Sc1 0.2791 0.0845 0.1946  5 Ge 2.70-2.85
Sc2 0.3916 0.3916 0.0000  6 Ge 2.84-2.90, 4 Ni 2.96-3.08
Ge3 0.4472 0.8094 0.6378  3 Ni 2.32-2.53, 1 Ge 2.50
Sc3 0.1101 0.9155 0.1946  5 Ge 2.70-2.85
Sc4 0.7209 0.9155 0.8054  5 Ge 2.70-2.85
Ge4 0.3127 0.5000 0.8127  2 Ni 2.60, 7 Sc 2.84-2.85
Ni1 0.5801 0.3052 0.2749  4 Ge 2.32-2.53
Ni2 0.4199 0.6948 0.7251  4 Ge 2.32-2.53
Ge5 0.8284 0.1906 0.6378  3 Ni 2.32-2.53, 1 Ge 2.50
Ge6 0.8671 0.3671 0.5000  2 Ni 2.42
Ge7 0.1716 0.8094 0.3622  3 Ni 2.32-2.53, 1 Ge 2.50
Sc5 0.0000 0.5000 0.5000  4 Ge 2.79-2.84
Ni3 0.0302 0.3052 0.7251  4 Ge 2.32-2.53
Sc6 0.8899 0.0845 0.8054  5 Ge 2.70-2.85
Ni4 0.4975 0.9975 0.5000  4 Ge 2.60
Sc7 0.7716 0.7716 0.0000  6 Ge 2.81-2.88, 6 Ni 2.92-2.97
Ge8 0.1329 0.6329 0.5000  2 Ni 2.42
Sc8 0.6084 0.6084 0.0000  6 Ge 2.84-2.90, 4 Ni 3.04-3.08
Ni5 0.9698 0.6948 0.2749  4 Ge 2.32-2.53
Sc9 0.2284 0.2284 0.0000  6 Ge 2.81-2.88, 6 Ni 2.92-2.97

Calculated values
- SG: Imm2 (44)
- ΔH_f (0 K): -0.7664 eV per atom